# 1
! Na2Ta4Al4Si5S7O48 | the Materials Project database | PBE-GGA | relaxed; values from VASP
! ΔE_f in kJ/mol of atoms: -256
! DFT total energy in eV per atom: -7.31
! Space group: No. 1
! Spin magnetization in Bohr magnetons per cell: 0.00
&SYSTEM
  ibrav = 0, nat = 210, ntyp = 6
/
ATOMIC_SPECIES
Na 22.99 Na.upf
Ta 180.95 Ta.upf
Al 26.98 Al.upf
Si 28.09 Si.upf
S 32.06 S.upf
O 16.00 O.upf
CELL_PARAMETERS angstrom
8.6393 0.0000 0.0000
0.0058 14.9852 0.0000
0.0768 0.0706 22.3993
ATOMIC_POSITIONS crystal
Na 0.0000 0.0000 0.0000
Na 0.9996 0.0013 0.5062
Na 0.0020 0.6698 0.1619
Na 0.4857 0.1664 0.6604
Na 0.4871 0.5028 0.5025
Na 0.4926 0.5068 0.0030
Ta 0.0077 0.6764 0.5219
Ta 0.4844 0.1718 0.0184
Ta 0.4866 0.1747 0.3046
Ta 0.4895 0.8320 0.1877
Ta 0.4888 0.8339 0.6895
Ta 0.4929 0.4979 0.3591
Ta 0.5037 0.5030 0.8541
Ta 0.9816 0.0038 0.3560
Ta 0.9919 0.3358 0.1907
Ta 0.9969 0.3314 0.6875
Ta 0.9968 0.9990 0.8563
Ta 0.9987 0.6767 0.8034
Al 0.0067 0.3236 0.4781
Al 0.0103 0.6743 0.0197
Al 0.4772 0.1716 0.5206
Al 0.4804 0.8214 0.9772
Al 0.4821 0.8350 0.4710
Al 0.4929 0.1761 0.8173
Al 0.4954 0.5075 0.1443
Al 0.5006 0.5078 0.6477
Al 0.9893 0.0049 0.1492
Al 0.9892 0.6758 0.3226
Al 0.9903 0.3355 0.9693
Al 0.9978 0.9969 0.6355
Si 0.1341 0.1385 0.2444
Si 0.1390 0.1853 0.5798
Si 0.1449 0.8076 0.9201
Si 0.2041 0.1764 0.9122
Si 0.2150 0.8440 0.5776
Si 0.2794 0.6763 0.4122
Si 0.3413 0.3059 0.4211
Si 0.3471 0.6839 0.0800
Si 0.3537 0.6398 0.7443
Si 0.6254 0.3681 0.2428
Si 0.6442 0.3125 0.9129
Si 0.7110 0.0017 0.2454
Si 0.7780 0.5019 0.7448
Si 0.8343 0.8117 0.4153
Si 0.8555 0.8700 0.7423
S 0.1280 0.8563 0.2473
S 0.1308 0.5261 0.9190
S 0.1425 0.4759 0.5806
S 0.2059 0.5098 0.2472
S 0.2780 0.3405 0.0799
S 0.2852 0.0108 0.7476
S 0.3436 0.9764 0.0810
S 0.3557 0.0267 0.4175
S 0.3580 0.3561 0.7471
S 0.6302 0.0221 0.9157
S 0.6316 0.6876 0.5806
S 0.6369 0.9833 0.5788
S 0.6474 0.6431 0.2479
S 0.7042 0.3374 0.5793
S 0.7115 0.6729 0.9205
S 0.7750 0.1740 0.4202
S 0.7836 0.8371 0.0792
S 0.8376 0.1433 0.7480
S 0.8505 0.4812 0.0784
S 0.8569 0.1901 0.0802
S 0.8585 0.5223 0.4164
O 0.0524 0.0933 0.5948
O 0.0520 0.7684 0.9762
O 0.0539 0.2345 0.5251
O 0.0596 0.0984 0.3054
O 0.0619 0.2404 0.2353
O 0.0621 0.7661 0.2537
O 0.0634 0.5634 0.8641
O 0.0630 0.9084 0.9078
O 0.0650 0.8979 0.1926
O 0.0668 0.4373 0.9291
O 0.0670 0.5643 0.5764
O 0.0748 0.4360 0.6368
O 0.0916 0.0878 0.9068
O 0.0982 0.5845 0.2551
O 0.0975 0.9250 0.5851
O 0.1071 0.5836 0.9717
O 0.1066 0.7494 0.8602
O 0.1082 0.2516 0.6398
O 0.1084 0.2615 0.9301
O 0.1083 0.4215 0.5282
O 0.1095 0.0805 0.1862
O 0.1090 0.9114 0.3014
O 0.1099 0.7505 0.5741
O 0.1118 0.4254 0.2385
O 0.1595 0.6759 0.0757
O 0.1611 0.3258 0.4269
O 0.1701 0.6530 0.7559
O 0.1719 0.6814 0.3542
O 0.1733 0.9858 0.0880
O 0.1741 0.6473 0.4718
O 0.1795 0.3515 0.0281
O 0.1822 0.0176 0.4096
O 0.1849 0.3255 0.1353
O 0.1851 0.3487 0.7414
O 0.1876 0.9944 0.8028
O 0.1911 0.0265 0.6952
O 0.2994 0.4914 0.3013
O 0.3020 0.5243 0.1938
O 0.3017 0.8488 0.2402
O 0.3039 0.5169 0.9118
O 0.3120 0.1490 0.9729
O 0.3129 0.4850 0.5877
O 0.3148 0.1824 0.8555
O 0.3164 0.8269 0.6390
O 0.3168 0.1534 0.2553
O 0.3256 0.8260 0.9273
O 0.3269 0.1774 0.5756
O 0.3281 0.8536 0.5224
O 0.3746 0.2559 0.0757
O 0.3773 0.0836 0.4702
O 0.3779 0.5796 0.6872
O 0.3790 0.4109 0.8019
O 0.3801 0.9230 0.0284
O 0.3802 0.9276 0.7426
O 0.3805 0.2505 0.3596
O 0.3810 0.7490 0.1400
O 0.3817 0.4171 0.0869
O 0.3857 0.7585 0.4244
O 0.3905 0.0872 0.7578
O 0.3903 0.5857 0.4048
O 0.4120 0.9369 0.1367
O 0.4176 0.0664 0.0767
O 0.4203 0.0677 0.3624
O 0.4231 0.3978 0.6930
O 0.4239 0.5966 0.8062
O 0.4242 0.9390 0.4235
O 0.4245 0.2661 0.7541
O 0.4250 0.4067 0.4085
O 0.4292 0.5877 0.0928
O 0.4309 0.7392 0.7394
O 0.4342 0.7324 0.0254
O 0.4355 0.2656 0.4759
O 0.5490 0.4088 0.9108
O 0.5498 0.4136 0.1860
O 0.5594 0.2640 0.9730
O 0.5588 0.5970 0.5879
O 0.5638 0.2682 0.2558
O 0.5647 0.0639 0.8624
O 0.5654 0.9434 0.6343
O 0.5657 0.7303 0.5286
O 0.5669 0.0744 0.5725
O 0.5695 0.9338 0.9276
O 0.5713 0.6082 0.3017
O 0.5779 0.7350 0.2393
O 0.5977 0.9152 0.2357
O 0.5995 0.4158 0.5884
O 0.6034 0.5917 0.9134
O 0.6065 0.0863 0.2626
O 0.6059 0.4271 0.3029
O 0.6100 0.0809 0.9705
O 0.6113 0.7426 0.6363
O 0.6122 0.2516 0.8561
O 0.6119 0.9274 0.5269
O 0.6151 0.2537 0.5764
O 0.6158 0.5904 0.1938
O 0.6162 0.7534 0.9272
O 0.6615 0.8305 0.4327
O 0.6679 0.1542 0.7574
O 0.6708 0.8578 0.7344
O 0.6727 0.5151 0.6879
O 0.6742 0.4815 0.8065
O 0.6800 0.1527 0.4724
O 0.6803 0.4874 0.0872
O 0.6818 0.5170 0.4093
O 0.6817 0.8262 0.1342
O 0.6854 0.1798 0.0751
O 0.6863 0.8545 0.0268
O 0.6878 0.1825 0.3641
O 0.7998 0.6819 0.8646
O 0.8018 0.3549 0.5267
O 0.8020 0.6738 0.5750
O 0.8047 0.0188 0.9108
O 0.8056 0.3265 0.6344
O 0.8062 0.6521 0.9728
O 0.8056 0.9934 0.5882
O 0.8144 0.0152 0.1873
O 0.8144 0.9819 0.3061
O 0.8146 0.3561 0.2341
O 0.8168 0.6526 0.2549
O 0.8185 0.3295 0.9294
O 0.8655 0.7527 0.3564
O 0.8676 0.0912 0.6950
O 0.8714 0.2538 0.4267
O 0.8727 0.7529 0.0764
O 0.8740 0.5792 0.4696
O 0.8802 0.5869 0.7634
O 0.8803 0.9260 0.8049
O 0.8812 0.2458 0.1354
O 0.8828 0.0922 0.4131
O 0.8831 0.4234 0.0273
O 0.8885 0.9154 0.0882
O 0.8904 0.4157 0.7367
O 0.9078 0.2361 0.7407
O 0.9134 0.1088 0.8030
O 0.9174 0.5718 0.0728
O 0.9176 0.4327 0.4254
O 0.9215 0.5641 0.3614
O 0.9230 0.4405 0.1337
O 0.9227 0.7699 0.7565
O 0.9243 0.2351 0.0286
O 0.9249 0.7639 0.4729
O 0.9273 0.1000 0.0869
O 0.9312 0.9084 0.4090
O 0.9381 0.9174 0.6884

# 2
! Na8TaAl3Si5SO24 | the Materials Project database | PBE-GGA | relaxed; values from VASP
! ΔE_f in kJ/mol of atoms: -274
! DFT total energy in eV per atom: -6.83
! Space group: No. 1
! Spin magnetization in Bohr magnetons per cell: 0.00
&SYSTEM
  ibrav = 0, nat = 126, ntyp = 6
/
ATOMIC_SPECIES
Na 22.99 Na.upf
Ta 180.95 Ta.upf
Al 26.98 Al.upf
Si 28.09 Si.upf
S 32.06 S.upf
O 16.00 O.upf
CELL_PARAMETERS angstrom
8.8874 0.0000 0.0000
4.4397 7.7112 0.0000
0.1319 0.0627 21.7603
ATOMIC_POSITIONS crystal
Na 0.0000 0.0000 0.0000
Na 0.9999 0.3762 0.2495
Na 0.0341 0.6755 0.8386
Na 0.0365 0.0280 0.3376
Na 0.3044 0.4055 0.3351
Na 0.3083 0.0305 0.8387
Na 0.3315 0.0709 0.1617
Na 0.3343 0.7013 0.4199
Na 0.3352 0.7025 0.9217
Na 0.3425 0.3336 0.6698
Na 0.3720 0.0005 0.5019
Na 0.3726 0.3662 0.0027
Na 0.6344 0.3631 0.5037
Na 0.6336 0.7405 0.0024
Na 0.6613 0.6720 0.3345
Na 0.6633 0.0356 0.0781
Na 0.6655 0.3996 0.8367
Na 0.6672 0.0419 0.5835
Na 0.6946 0.3479 0.1644
Na 0.7016 0.6962 0.6731
Na 0.9569 0.0787 0.6713
Na 0.9711 0.6877 0.1664
Na 0.9950 0.3694 0.7540
Na 0.9977 0.7394 0.5016
Ta 0.0013 0.3682 0.4018
Ta 0.0025 0.3691 0.9008
Ta 0.6586 0.0365 0.2334
Al 0.3460 0.6843 0.5616
Al 0.3482 0.6835 0.2752
Al 0.3532 0.6889 0.0618
Al 0.3539 0.6891 0.7799
Al 0.6658 0.0533 0.7437
Al 0.6690 0.0344 0.4411
Al 0.6693 0.0345 0.9392
Al 0.9835 0.3713 0.5976
Al 0.9992 0.3826 0.1006
Si 0.0013 0.6683 0.0059
Si 0.0034 0.0680 0.5071
Si 0.2935 0.3661 0.5084
Si 0.2951 0.0740 0.0077
Si 0.3276 0.4221 0.1686
Si 0.3775 0.0274 0.3402
Si 0.3845 0.3222 0.8364
Si 0.6222 0.6939 0.1686
Si 0.6248 0.4116 0.6697
Si 0.6651 0.3242 0.3390
Si 0.6654 0.7576 0.8346
Si 0.7058 0.6678 0.5063
Si 0.7119 0.3638 0.0072
Si 0.9620 0.0271 0.8352
Si 0.9629 0.7488 0.3384
S 0.0477 0.7011 0.6693
S 0.0499 0.9887 0.1708
S 0.3347 0.9894 0.6692
O 0.0261 0.1646 0.1668
O 0.0323 0.5412 0.6652
O 0.0402 0.5367 0.9452
O 0.0428 0.1597 0.4456
O 0.1249 0.8811 0.1152
O 0.1288 0.7307 0.6138
O 0.1533 0.7273 0.3288
O 0.1531 0.9089 0.2263
O 0.1545 0.6764 0.7246
O 0.1568 0.8593 0.8240
O 0.1632 0.3865 0.1643
O 0.1671 0.4038 0.4462
O 0.1683 0.1660 0.9458
O 0.1762 0.6824 0.0124
O 0.1789 0.1674 0.6654
O 0.1786 0.8796 0.5149
O 0.1872 0.2073 0.3416
O 0.1873 0.3449 0.8410
O 0.1938 0.3344 0.5660
O 0.1984 0.2041 0.0654
O 0.2989 0.5360 0.2306
O 0.3045 0.9099 0.7249
O 0.3054 0.5432 0.5106
O 0.3063 0.8856 0.0119
O 0.3523 0.8628 0.3281
O 0.3547 0.5186 0.8284
O 0.3589 0.8820 0.6141
O 0.3700 0.5071 0.1100
O 0.4589 0.2020 0.7749
O 0.4628 0.0719 0.2784
O 0.4822 0.1949 0.4988
O 0.4831 0.0596 0.9979
O 0.4940 0.0051 0.6728
O 0.4940 0.7425 0.1102
O 0.4963 0.7300 0.8290
O 0.4968 0.5158 0.3320
O 0.4983 0.5034 0.6102
O 0.5039 0.9956 0.3971
O 0.5065 0.2363 0.8957
O 0.5093 0.2231 0.1748
O 0.5166 0.6815 0.5112
O 0.5236 0.5412 0.0083
O 0.5320 0.5396 0.7288
O 0.5324 0.6712 0.2309
O 0.6321 0.8740 0.8953
O 0.6327 0.2319 0.3972
O 0.6459 0.2139 0.6763
O 0.6488 0.8703 0.1749
O 0.6910 0.8549 0.4972
O 0.6943 0.1927 0.9979
O 0.7028 0.8424 0.7730
O 0.7067 0.1995 0.2771
O 0.7963 0.5352 0.4457
O 0.8016 0.4023 0.9454
O 0.8183 0.5233 0.1641
O 0.8228 0.3916 0.6629
O 0.8270 0.8544 0.9967
O 0.8292 0.0564 0.4974
O 0.8358 0.5762 0.5638
O 0.8356 0.8345 0.2771
O 0.8394 0.0727 0.7745
O 0.8391 0.5583 0.8401
O 0.8402 0.3301 0.0652
O 0.8413 0.3425 0.3417
O 0.8698 0.0078 0.1748
O 0.8702 0.8559 0.6727
O 0.8698 0.8710 0.3968
O 0.8753 0.9933 0.8954
O 0.9619 0.5786 0.0642
O 0.9651 0.1992 0.5641
O 0.9779 0.5553 0.3419
O 0.9810 0.2041 0.8413